The following is a r²SCAN calculation of crystalline MoSeS at its relaxed geometry, from the Materials Project database.

a b c (Å): 3.2502 3.2502 35.5085
angles (deg): 90.00 90.00 120.00
Fractional positions:
1 Mo 0.3333 0.6667 0.0938
2 Mo 0.3333 0.6667 0.7185
3 Mo 0.6667 0.3333 0.2815
4 Mo 0.6667 0.3333 0.9062
5 Se 0.3333 0.6667 0.2342
6 Se 0.3333 0.6667 0.3288
7 Se 0.6667 0.3333 0.6712
8 Se 0.6667 0.3333 0.7658
9 S 0.3333 0.6667 0.8631
10 S 0.3333 0.6667 0.9493
11 S 0.6667 0.3333 0.0507
12 S 0.6667 0.3333 0.1369

Values from the calculation:
**Space group**: P-3m1
**Offset from the most stable computed form**: 4 meV per atom

---

The following is a r²SCAN calculation of crystalline Mo3Se2S4 at its relaxed geometry, from the Materials Project database.

a b c (Å): 3.2265 3.2265 28.5031
angles (deg): 90.00 90.00 120.00
Fractional positions:
1 Mo 0.0000 0.0000 0.0000
2 Mo 0.0000 0.0000 0.4620
3 Mo 0.3333 0.6667 0.2300
4 Se 0.3333 0.6667 0.4028
5 Se 0.3333 0.6667 0.5211
6 S 0.0000 0.0000 0.1760
7 S 0.0000 0.0000 0.2840
8 S 0.3333 0.6667 0.0540
9 S 0.3333 0.6667 0.9460

Values from the calculation:
**Space group**: P3m1

---

The following is a r²SCAN calculation of crystalline Mo2Se3S at its relaxed geometry, from the Materials Project database.

a b c (Å): 3.2847 3.2847 36.1954
angles (deg): 90.00 90.00 120.00
Fractional positions:
1 Mo 0.0000 0.0000 0.0000
2 Mo 0.0000 0.0000 0.3747
3 Mo 0.3333 0.6667 0.1869
4 Mo 0.3333 0.6667 0.5629
5 Se 0.0000 0.0000 0.1408
6 Se 0.0000 0.0000 0.2330
7 Se 0.0000 0.0000 0.5169
8 Se 0.0000 0.0000 0.6089
9 Se 0.3333 0.6667 0.3286
10 Se 0.3333 0.6667 0.4207
11 S 0.3333 0.6667 0.0421
12 S 0.3333 0.6667 0.9580

Values from the calculation:
**Space group**: P3m1

---

The following is a r²SCAN calculation of crystalline MoSeS at its relaxed geometry, from the Materials Project database.

a b c (Å): 3.2525 3.2525 13.6173
angles (deg): 90.00 90.00 120.00
Fractional positions:
1 Mo 0.0000 0.0000 0.2409
2 Mo 0.0000 0.0000 0.7591
3 Se 0.3333 0.6667 0.6351
4 Se 0.6667 0.3333 0.3649
5 S 0.3333 0.6667 0.8706
6 S 0.6667 0.3333 0.1294

Values from the calculation:
**Space group**: P-3m1
**Offset from the most stable computed form**: 0 meV per atom

---

The following is a r²SCAN calculation of crystalline MoSeS at its relaxed geometry, from the Materials Project database.

a b c (Å): 3.2500 3.2500 35.8621
angles (deg): 90.00 90.00 120.00
Fractional positions:
1 Mo 0.3333 0.6667 0.0946
2 Mo 0.3333 0.6667 0.7187
3 Mo 0.6667 0.3333 0.2813
4 Mo 0.6667 0.3333 0.9054
5 Se 0.3333 0.6667 0.8586
6 Se 0.3333 0.6667 0.9522
7 Se 0.6667 0.3333 0.0478
8 Se 0.6667 0.3333 0.1414
9 S 0.3333 0.6667 0.2386
10 S 0.3333 0.6667 0.3240
11 S 0.6667 0.3333 0.6760
12 S 0.6667 0.3333 0.7614

Values from the calculation:
**Space group**: P-3m1
**Offset from the most stable computed form**: 4 meV per atom

---

The following is a r²SCAN calculation of crystalline MoSeS at its relaxed geometry, from the Materials Project database.

a b c (Å): 3.2499 3.2499 35.6074
angles (deg): 90.00 90.00 120.00
Fractional positions:
1 Mo 0.0000 0.0000 0.0000
2 Mo 0.0000 0.0000 0.3724
3 Mo 0.3333 0.6667 0.1858
4 Mo 0.3333 0.6667 0.5613
5 Se 0.0000 0.0000 0.5142
6 Se 0.0000 0.0000 0.6084
7 Se 0.3333 0.6667 0.3253
8 Se 0.3333 0.6667 0.4196
9 S 0.0000 0.0000 0.1427
10 S 0.0000 0.0000 0.2288
11 S 0.3333 0.6667 0.0430
12 S 0.3333 0.6667 0.9570

Values from the calculation:
**Space group**: P3m1
**Offset from the most stable computed form**: 4 meV per atom

---

The following is a r²SCAN calculation of crystalline MoSeS at its relaxed geometry, from the Materials Project database.

a b c (Å): 19.3987 3.2492 3.2492
angles (deg): 59.99 90.00 90.00
Fractional positions:
1 Mo 0.0000 0.0000 0.0000
2 Mo 0.5000 0.2230 0.2230
3 Se 0.0866 0.3333 0.3333
4 Se 0.9134 0.3333 0.3333
5 S 0.4211 0.8896 0.8896
6 S 0.5789 0.8896 0.8896

Values from the calculation:
**Space group**: Amm2
**Offset from the most stable computed form**: 15 meV per atom

---

The following is a r²SCAN calculation of crystalline MoSeS at its relaxed geometry, from the Materials Project database.

a b c (Å): 3.2498 3.2498 22.1820
angles (deg): 90.00 90.00 120.00
Fractional positions:
1 Mo 0.0000 0.0000 0.0000
2 Mo 0.3333 0.6667 0.2987
3 Se 0.0000 0.0000 0.2230
4 Se 0.0000 0.0000 0.3743
5 S 0.3333 0.6667 0.0691
6 S 0.3333 0.6667 0.9310

Values from the calculation:
**Space group**: P3m1
**Offset from the most stable computed form**: 8 meV per atom

---

The following is a r²SCAN calculation of crystalline Mo2SeS3 at its relaxed geometry, from the Materials Project database.

a b c (Å): 3.2173 3.2173 13.0916
angles (deg): 90.00 90.00 120.00
Fractional positions:
1 Mo 0.0000 0.0000 0.0000
2 Mo 0.3333 0.6667 0.4910
3 Se 0.3333 0.6667 0.8699
4 S 0.0000 0.0000 0.3732
5 S 0.0000 0.0000 0.6087
6 S 0.3333 0.6667 0.1168

Values from the calculation:
**Space group**: P3m1
**Offset from the most stable computed form**: 0 meV per atom

---

The following is a r²SCAN calculation of crystalline MoSeS at its relaxed geometry, from the Materials Project database.

a b c (Å): 3.2502 3.2502 35.5954
angles (deg): 90.00 90.00 120.00
Fractional positions:
1 Mo 0.0000 0.0000 0.0000
2 Mo 0.0000 0.0000 0.3754
3 Mo 0.3333 0.6667 0.1879
4 Mo 0.3333 0.6667 0.5625
5 Se 0.0000 0.0000 0.1407
6 Se 0.0000 0.0000 0.2351
7 Se 0.0000 0.0000 0.5154
8 Se 0.0000 0.0000 0.6096
9 S 0.3333 0.6667 0.0430
10 S 0.3333 0.6667 0.3324
11 S 0.3333 0.6667 0.4185
12 S 0.3333 0.6667 0.9570

Values from the calculation:
**Space group**: P3m1
**Offset from the most stable computed form**: 4 meV per atom

---

The following is a r²SCAN calculation of crystalline TeMo2Se2S at its relaxed geometry, from the Materials Project database.

a b c (Å): 3.3396 3.3396 36.1864
angles (deg): 90.00 90.00 120.00
Fractional positions:
1 Te 0.0000 0.0000 0.0000
2 Te 0.0000 0.0000 0.1038
3 Mo 0.0000 0.0000 0.4883
4 Mo 0.0000 0.0000 0.8624
5 Mo 0.3333 0.6667 0.0520
6 Mo 0.3333 0.6667 0.6758
7 Se 0.0000 0.0000 0.6302
8 Se 0.0000 0.0000 0.7214
9 Se 0.3333 0.6667 0.4427
10 Se 0.3333 0.6667 0.5338
11 S 0.3333 0.6667 0.8208
12 S 0.3333 0.6667 0.9040

Values from the calculation:
**Space group**: P3m1

---

The following is a r²SCAN calculation of crystalline TeMoWSe2S at its relaxed geometry, from the Materials Project database.

a b c (Å): 3.3372 3.3372 37.8016
angles (deg): 90.00 90.00 120.00
Fractional positions:
1 Te 0.0000 0.0000 0.0000
2 Te 0.0000 0.0000 0.0994
3 Mo 0.6667 0.3333 0.0497
4 Mo 0.6667 0.3333 0.6745
5 W 0.0000 0.0000 0.2383
6 W 0.0000 0.0000 0.8608
7 Se 0.6667 0.3333 0.1945
8 Se 0.6667 0.3333 0.2821
9 Se 0.6667 0.3333 0.8170
10 Se 0.6667 0.3333 0.9047
11 S 0.0000 0.0000 0.6346
12 S 0.0000 0.0000 0.7143

Values from the calculation:
**Space group**: P3m1

---

The following is a r²SCAN calculation of crystalline MoW3Se4S4 at its relaxed geometry, from the Materials Project database.

a b c (Å): 3.2461 3.2461 35.6044
angles (deg): 90.00 90.00 120.00
Fractional positions:
1 Mo 0.0000 0.0000 0.0000
2 W 0.0000 0.0000 0.3756
3 W 0.3333 0.6667 0.1872
4 W 0.3333 0.6667 0.5634
5 Se 0.3333 0.6667 0.0472
6 Se 0.3333 0.6667 0.3281
7 Se 0.3333 0.6667 0.4231
8 Se 0.3333 0.6667 0.9528
9 S 0.0000 0.0000 0.1439
10 S 0.0000 0.0000 0.2304
11 S 0.0000 0.0000 0.5202
12 S 0.0000 0.0000 0.6066

Values from the calculation:
**Space group**: P3m1

---

The following is a r²SCAN calculation of crystalline SmMo6S8 at its relaxed geometry, from the Materials Project database.

a b c (Å): 6.5110 6.5110 6.5110
angles (deg): 89.20 89.20 89.20
Fractional positions:
1 Sm 0.0000 0.0000 0.0000
2 Mo 0.2281 0.5616 0.4200
3 Mo 0.4200 0.2281 0.5616
4 Mo 0.4384 0.5800 0.7719
5 Mo 0.5616 0.4200 0.2281
6 Mo 0.5800 0.7719 0.4384
7 Mo 0.7719 0.4384 0.5800
8 S 0.1261 0.3724 0.7497
9 S 0.2415 0.2415 0.2415
10 S 0.2503 0.8739 0.6276
11 S 0.3724 0.7497 0.1261
12 S 0.6276 0.2503 0.8739
13 S 0.7497 0.1261 0.3724
14 S 0.7585 0.7585 0.7585
15 S 0.8739 0.6276 0.2503

Values from the calculation:
**Space group**: R-3

---

The following is a r²SCAN calculation of crystalline Ta3MoS8 at its relaxed geometry, from the Materials Project database.

a b c (Å): 12.7541 12.7541 5.7354
angles (deg): 94.33 94.33 14.91
Fractional positions:
1 Ta 0.0000 0.0000 0.0000
2 Ta 0.2499 0.2499 0.7538
3 Ta 0.4999 0.4999 0.4998
4 Mo 0.7498 0.7498 0.2476
5 S 0.0619 0.0619 0.6872
6 S 0.1899 0.1899 0.3926
7 S 0.3097 0.3097 0.4326
8 S 0.4379 0.4379 0.1456
9 S 0.5620 0.5620 0.1874
10 S 0.6887 0.6887 0.8992
11 S 0.8109 0.8109 0.9403
12 S 0.9379 0.9379 0.6458

Values from the calculation:
**Space group**: Cm

---

The following is a r²SCAN calculation of crystalline Te4MoW2S2 at its relaxed geometry, from the Materials Project database.

a b c (Å): 3.4163 3.4163 29.8948
angles (deg): 90.00 90.00 120.00
Fractional positions:
1 Te 0.0000 0.0000 0.0000
2 Te 0.0000 0.0000 0.1235
3 Te 0.0000 0.0000 0.4605
4 Te 0.0000 0.0000 0.5844
5 Mo 0.6667 0.3333 0.0617
6 W 0.0000 0.0000 0.2909
7 W 0.6667 0.3333 0.5225
8 S 0.6667 0.3333 0.2410
9 S 0.6667 0.3333 0.3407

Values from the calculation:
**Space group**: P3m1

---

The following is a r²SCAN calculation of crystalline MoW3S8 at its relaxed geometry, from the Materials Project database.

a b c (Å): 3.1836 3.1836 34.9537
angles (deg): 90.00 90.00 120.00
Fractional positions:
1 Mo 0.0000 0.0000 0.0000
2 W 0.0000 0.0000 0.3755
3 W 0.3333 0.6667 0.1878
4 W 0.3333 0.6667 0.5635
5 S 0.0000 0.0000 0.1431
6 S 0.0000 0.0000 0.2324
7 S 0.0000 0.0000 0.5189
8 S 0.0000 0.0000 0.6081
9 S 0.3333 0.6667 0.0444
10 S 0.3333 0.6667 0.3309
11 S 0.3333 0.6667 0.4201
12 S 0.3333 0.6667 0.9556

Values from the calculation:
**Space group**: P3m1

---

The following is a r²SCAN calculation of crystalline MoW3S8 at its relaxed geometry, from the Materials Project database.

a b c (Å): 3.1846 3.1846 34.7002
angles (deg): 90.00 90.00 120.00
Fractional positions:
1 Mo 0.0000 0.0000 0.0000
2 W 0.0000 0.0000 0.3757
3 W 0.6667 0.3333 0.1883
4 W 0.6667 0.3333 0.8124
5 S 0.0000 0.0000 0.1434
6 S 0.0000 0.0000 0.2332
7 S 0.0000 0.0000 0.7675
8 S 0.0000 0.0000 0.8574
9 S 0.6667 0.3333 0.0447
10 S 0.6667 0.3333 0.3308
11 S 0.6667 0.3333 0.4207
12 S 0.6667 0.3333 0.9553

Values from the calculation:
**Space group**: P3m1

---

The following is a r²SCAN calculation of crystalline Sb7Mo3 at its relaxed geometry, from the Materials Project database.

a b c (Å): 8.3319 8.3319 8.3319
angles (deg): 109.47 109.47 109.47
Fractional positions:
1 Sb 0.0000 0.0000 0.3210
2 Sb 0.0000 0.0000 0.6790
3 Sb 0.0000 0.3210 0.0000
4 Sb 0.0000 0.6790 0.0000
5 Sb 0.2500 0.5000 0.7500
6 Sb 0.2500 0.7500 0.5000
7 Sb 0.3210 0.0000 0.0000
8 Sb 0.3210 0.3210 0.3210
9 Sb 0.5000 0.2500 0.7500
10 Sb 0.5000 0.7500 0.2500
11 Sb 0.6790 0.0000 0.0000
12 Sb 0.6790 0.6790 0.6790
13 Sb 0.7500 0.2500 0.5000
14 Sb 0.7500 0.5000 0.2500
15 Mo 0.0000 0.3415 0.3415
16 Mo 0.0000 0.6585 0.6585
17 Mo 0.3415 0.0000 0.3415
18 Mo 0.3415 0.3415 0.0000
19 Mo 0.6585 0.0000 0.6585
20 Mo 0.6585 0.6585 0.0000

Values from the calculation:
**Space group**: Im-3m

---

The following is a r²SCAN calculation of crystalline Sb2MoSe at its relaxed geometry, from the Materials Project database.

a b c (Å): 6.6179 6.6198 18.5933
angles (deg): 90.00 93.89 90.00
Fractional positions:
1 Sb 0.0742 0.1243 0.0732
2 Sb 0.0742 0.3757 0.5732
3 Sb 0.0746 0.6248 0.0736
4 Sb 0.0746 0.8752 0.5736
5 Sb 0.1980 0.0944 0.2248
6 Sb 0.1980 0.4056 0.7248
7 Sb 0.1989 0.6549 0.2252
8 Sb 0.1989 0.8451 0.7252
9 Sb 0.8011 0.1549 0.2748
10 Sb 0.8011 0.3451 0.7748
11 Sb 0.8020 0.5944 0.2752
12 Sb 0.8020 0.9056 0.7752
13 Sb 0.9254 0.1248 0.4264
14 Sb 0.9254 0.3752 0.9264
15 Sb 0.9258 0.6243 0.4268
16 Sb 0.9258 0.8757 0.9268
17 Mo 0.3279 0.1242 0.4948
18 Mo 0.3279 0.3758 0.9948
19 Mo 0.3277 0.6255 0.4946
20 Mo 0.3277 0.8745 0.9946
21 Mo 0.6723 0.1255 0.0054
22 Mo 0.6723 0.3745 0.5054
23 Mo 0.6721 0.6242 0.0052
24 Mo 0.6721 0.8758 0.5052
25 Se 0.4108 0.1252 0.9008
26 Se 0.4108 0.3748 0.4008
27 Se 0.4113 0.6248 0.9006
28 Se 0.4113 0.8752 0.4006
29 Se 0.5887 0.1248 0.5994
30 Se 0.5887 0.3752 0.0994
31 Se 0.5892 0.6252 0.5992
32 Se 0.5892 0.8748 0.0992

Values from the calculation:
**Space group**: P2_1/c

---

The following is a r²SCAN calculation of crystalline ScTc2Mo at its relaxed geometry, from the Materials Project database.

a b c (Å): 4.4555 4.4555 4.4555
angles (deg): 60.00 60.00 60.00
Fractional positions:
1 Sc 0.0000 0.0000 0.0000
2 Tc 0.2500 0.2500 0.2500
3 Tc 0.7500 0.7500 0.7500
4 Mo 0.5000 0.5000 0.5000

Values from the calculation:
**Space group**: Fm-3m

---

Values of E_form, in order: -0.84, -0.88, -0.79, -0.84, -0.84, -0.84, -0.83, -0.84, -0.90, -0.84, -0.64, -0.57, -0.76, -1.06, -1.12, -0.33, -0.90, -0.90, 0.00, -0.31, -0.17, all in eV per atom.